(1)
PBE+U MnB2P3H10N2ClO13, relaxed; E_form = -1.839 eV per atom
1.0
9.1636 0.0000 0.0000
0.0000 8.6090 0.0000
-8.4837 0.0000 16.7338
Mn B P H N Cl O
4 8 12 40 8 4 52
direct
0.0276 0.1757 0.1278
0.0276 0.3243 0.6278
0.9724 0.6757 0.3722
0.9724 0.8243 0.8722
0.3387 0.5393 0.6727
0.3387 0.9607 0.1727
0.4444 0.1752 0.5623
0.4444 0.3248 0.0623
0.5556 0.6752 0.9377
0.5556 0.8248 0.4377
0.6613 0.0393 0.8273
0.6613 0.4607 0.3273
0.2202 0.0755 0.0193
0.2202 0.4245 0.5193
0.2755 0.5423 0.9391
0.2755 0.9577 0.4391
0.4372 0.2309 0.7082
0.4372 0.2691 0.2082
0.5628 0.7309 0.7918
0.5628 0.7691 0.2918
0.7245 0.0423 0.5609
0.7245 0.4577 0.0609
0.7798 0.5755 0.4807
0.7798 0.9245 0.9807
0.0566 0.6972 0.0540
0.0566 0.8028 0.5540
0.0652 0.5257 0.1014
0.0652 0.9743 0.6014
0.1584 0.1037 0.3296
0.1584 0.3963 0.8296
0.1816 0.5870 0.7226
0.1816 0.9130 0.2226
0.2016 0.6683 0.1499
0.2016 0.8317 0.6499
0.2140 0.5717 0.0755
0.2140 0.9283 0.5755
0.2549 0.0516 0.8833
0.2549 0.4484 0.3833
0.2789 0.0991 0.7987
0.2789 0.4009 0.2987
0.3945 0.1836 0.8869
0.3945 0.3164 0.3869
0.4223 0.5037 0.3737
0.4223 0.9963 0.8737
0.5777 0.0037 0.1263
0.5777 0.4963 0.6263
0.6055 0.6836 0.6131
0.6055 0.8164 0.1131
0.7211 0.5991 0.7013
0.7211 0.9009 0.2013
0.7451 0.5516 0.6167
0.7451 0.9484 0.1167
0.7860 0.0717 0.4245
0.7860 0.4283 0.9245
0.7984 0.1683 0.3501
0.7984 0.3317 0.8501
0.8184 0.0870 0.7774
0.8184 0.4130 0.2774
0.8416 0.6037 0.1704
0.8416 0.8963 0.6704
0.9348 0.0257 0.3986
0.9348 0.4743 0.8986
0.9434 0.1972 0.4460
0.9434 0.3028 0.9460
0.1342 0.6161 0.0954
0.1342 0.8839 0.5954
0.3363 0.0825 0.8601
0.3363 0.4175 0.3601
0.6637 0.5825 0.6399
0.6637 0.9175 0.1399
0.8658 0.1161 0.4046
0.8658 0.3839 0.9046
0.0461 0.6891 0.2551
0.0461 0.8109 0.7551
0.9539 0.1891 0.2449
0.9539 0.3109 0.7449
0.0985 0.1810 0.0304
0.0985 0.3190 0.5304
0.1119 0.6144 0.9192
0.1119 0.8856 0.4192
0.1590 0.5039 0.4382
0.1590 0.9961 0.9382
0.1961 0.5156 0.6859
0.1961 0.9844 0.1859
0.2693 0.1834 0.6970
0.2693 0.3166 0.1970
0.2709 0.0787 0.3748
0.2709 0.4213 0.8748
0.2883 0.5547 0.5857
0.2883 0.9453 0.0857
0.3299 0.0447 0.5207
0.3299 0.4553 0.0207
0.3772 0.1722 0.0304
0.3772 0.3278 0.5304
0.4066 0.6661 0.9499
0.4066 0.8339 0.4499
0.4219 0.6874 0.7077
0.4219 0.8126 0.2077
0.4603 0.0894 0.2062
0.4603 0.4106 0.7062
0.4887 0.1550 0.6474
0.4887 0.3450 0.1474
0.5113 0.6550 0.8526
0.5113 0.8450 0.3526
0.5397 0.5894 0.2938
0.5397 0.9106 0.7938
0.5781 0.1874 0.7923
0.5781 0.3126 0.2923
0.5934 0.1661 0.5501
0.5934 0.3339 0.0501
0.6228 0.6722 0.4696
0.6228 0.8278 0.9696
0.6701 0.5447 0.9793
0.6701 0.9553 0.4793
0.7117 0.0547 0.9143
0.7117 0.4453 0.4143
0.7291 0.5787 0.1252
0.7291 0.9213 0.6252
0.7307 0.6834 0.8030
0.7307 0.8166 0.3030
0.8039 0.0156 0.8141
0.8039 0.4844 0.3141
0.8410 0.0039 0.0618
0.8410 0.4961 0.5618
0.8881 0.1144 0.5808
0.8881 0.3856 0.0808
0.9015 0.6810 0.4696
0.9015 0.8190 0.9696

(2)
PBE+U Mn3B7ClO13, relaxed; E_form = -2.641 eV per atom
1.0
8.7764 0.0000 0.0000
0.0000 8.7783 0.0000
0.0000 0.0000 12.4310
Mn B Cl O
12 28 4 52
direct
0.0178 0.0361 0.0000
0.0192 0.4642 0.9960
0.2388 0.2523 0.7164
0.2612 0.2523 0.2164
0.4808 0.4642 0.4960
0.4822 0.0361 0.5000
0.5178 0.9639 0.0000
0.5192 0.5358 0.9960
0.7388 0.7477 0.7164
0.7612 0.7477 0.2164
0.9808 0.5358 0.4960
0.9822 0.9639 0.5000
0.0020 0.0034 0.2473
0.0029 0.4953 0.2457
0.0415 0.7508 0.8484
0.0953 0.7500 0.3167
0.2422 0.7532 0.9929
0.2465 0.5991 0.1656
0.2461 0.9021 0.1665
0.2535 0.5991 0.6656
0.2539 0.9021 0.6665
0.2578 0.7532 0.4929
0.4047 0.7500 0.8167
0.4585 0.7508 0.3484
0.4971 0.4953 0.7457
0.4980 0.0034 0.7473
0.5020 0.9966 0.2473
0.5029 0.5047 0.2457
0.5415 0.2492 0.8484
0.5953 0.2500 0.3167
0.7422 0.2468 0.9929
0.7461 0.0979 0.1665
0.7465 0.4009 0.1656
0.7539 0.0979 0.6665
0.7535 0.4009 0.6656
0.7578 0.2468 0.4929
0.9047 0.2500 0.8167
0.9585 0.2492 0.3484
0.9971 0.5047 0.7457
0.9980 0.9966 0.7473
0.2264 0.2502 0.0075
0.2736 0.2502 0.5075
0.7264 0.7498 0.0075
0.7736 0.7498 0.5075
0.0300 0.1583 0.7710
0.0324 0.9077 0.8482
0.0417 0.3326 0.2746
0.0460 0.5939 0.3359
0.0922 0.9429 0.6562
0.0930 0.5352 0.1500
0.1151 0.6768 0.9316
0.1432 0.8178 0.4190
0.1604 0.4879 0.7232
0.1640 0.0238 0.2210
0.1794 0.8757 0.0598
0.1848 0.6370 0.5617
0.2278 0.7500 0.2325
0.2722 0.7500 0.7325
0.3152 0.6370 0.0617
0.3206 0.8757 0.5598
0.3360 0.0238 0.7210
0.3396 0.4879 0.2232
0.3568 0.8178 0.9190
0.3849 0.6768 0.4316
0.4070 0.5352 0.6500
0.4078 0.9429 0.1562
0.4540 0.5939 0.8359
0.4583 0.3326 0.7746
0.4676 0.9077 0.3482
0.4700 0.1583 0.2710
0.5300 0.8417 0.7710
0.5324 0.0923 0.8482
0.5417 0.6674 0.2746
0.5460 0.4061 0.3359
0.5922 0.0571 0.6562
0.5930 0.4648 0.1500
0.6151 0.3232 0.9316
0.6432 0.1822 0.4190
0.6604 0.5121 0.7232
0.6640 0.9762 0.2210
0.6794 0.1243 0.0598
0.6848 0.3630 0.5617
0.7278 0.2500 0.2325
0.7722 0.2500 0.7325
0.8152 0.3630 0.0617
0.8206 0.1243 0.5598
0.8360 0.9762 0.7210
0.8396 0.5121 0.2232
0.8568 0.1822 0.9190
0.8849 0.3232 0.4316
0.9070 0.4648 0.6500
0.9078 0.0571 0.1562
0.9540 0.4061 0.8359
0.9583 0.6674 0.7746
0.9676 0.0923 0.3482
0.9700 0.8417 0.2710